MoRh2O6 | PBE+U | optimized geometry

Cell lengths 4.618, 4.618, 9.452 Å; angles 90.00, 90.00, 90.00 degrees
Sites, in units of the cell vectors:
Mo (0.000, 0.000, 0.000)
Mo (0.500, 0.500, 0.500)
Rh (0.000, 0.000, 0.332)
Rh (0.000, 0.000, 0.668)
Rh (0.500, 0.500, 0.168)
Rh (0.500, 0.500, 0.832)
O (0.194, 0.194, 0.165)
O (0.194, 0.194, 0.835)
O (0.196, 0.196, 0.500)
O (0.304, 0.696, 0.000)
O (0.306, 0.694, 0.335)
O (0.306, 0.694, 0.665)
O (0.694, 0.306, 0.335)
O (0.694, 0.306, 0.665)
O (0.696, 0.304, 0.000)
O (0.804, 0.804, 0.500)
O (0.806, 0.806, 0.165)
O (0.806, 0.806, 0.835)

E = -6.830 eV per atom
SG = P4_2/mnm

***

Sb2MoO6 | PBE+U | optimized geometry

Cell lengths 7.665, 7.699, 10.341 Å; angles 69.80, 70.23, 83.94 degrees
Sites, in units of the cell vectors:
Sb (0.057, 0.125, 0.174)
Sb (0.132, 0.556, 0.171)
Sb (0.379, 0.923, 0.838)
Sb (0.424, 0.369, 0.837)
Sb (0.576, 0.631, 0.163)
Sb (0.621, 0.077, 0.162)
Sb (0.868, 0.444, 0.829)
Sb (0.943, 0.875, 0.826)
Mo (0.226, 0.273, 0.514)
Mo (0.271, 0.776, 0.498)
Mo (0.729, 0.224, 0.502)
Mo (0.774, 0.727, 0.486)
O (0.021, 0.743, 0.441)
O (0.083, 0.724, 0.689)
O (0.126, 0.794, 0.938)
O (0.199, 0.374, 0.061)
O (0.237, 0.081, 0.688)
O (0.245, 0.022, 0.442)
O (0.250, 0.469, 0.564)
O (0.279, 0.400, 0.310)
O (0.304, 0.112, 0.942)
O (0.387, 0.691, 0.057)
O (0.400, 0.763, 0.311)
O (0.469, 0.755, 0.558)
O (0.531, 0.245, 0.442)
O (0.600, 0.237, 0.689)
O (0.613, 0.309, 0.943)
O (0.696, 0.888, 0.058)
O (0.721, 0.600, 0.690)
O (0.750, 0.531, 0.436)
O (0.755, 0.978, 0.558)
O (0.763, 0.919, 0.312)
O (0.801, 0.626, 0.939)
O (0.874, 0.206, 0.062)
O (0.917, 0.276, 0.311)
O (0.979, 0.257, 0.559)

E = -6.459 eV per atom
magnetic moment = 0.01 μB per cell
SG = P-1

***

Sb2Mo10O31 | PBE+U | optimized geometry

Cell lengths 20.431, 8.194, 7.408 Å; angles 90.00, 90.00, 90.00 degrees
Sites, in units of the cell vectors:
Sb (0.250, 0.228, 0.000)
Sb (0.250, 0.760, 0.993)
Sb (0.750, 0.240, 0.993)
Sb (0.750, 0.772, 0.000)
Mo (0.089, 0.706, 0.316)
Mo (0.089, 0.789, 0.819)
Mo (0.090, 0.206, 0.325)
Mo (0.090, 0.289, 0.827)
Mo (0.250, 0.294, 0.553)
Mo (0.250, 0.794, 0.544)
Mo (0.410, 0.206, 0.325)
Mo (0.410, 0.289, 0.827)
Mo (0.411, 0.706, 0.316)
Mo (0.411, 0.789, 0.819)
Mo (0.589, 0.211, 0.819)
Mo (0.589, 0.294, 0.316)
Mo (0.590, 0.711, 0.827)
Mo (0.590, 0.794, 0.325)
Mo (0.750, 0.206, 0.544)
Mo (0.750, 0.706, 0.553)
Mo (0.910, 0.711, 0.827)
Mo (0.910, 0.794, 0.325)
Mo (0.911, 0.211, 0.819)
Mo (0.911, 0.294, 0.316)
O (0.000, 0.242, 0.253)
O (0.000, 0.255, 0.887)
O (0.000, 0.745, 0.887)
O (0.000, 0.758, 0.253)
O (0.074, 0.269, 0.581)
O (0.074, 0.730, 0.579)
O (0.086, 0.001, 0.800)
O (0.092, 0.494, 0.294)
O (0.093, 0.995, 0.340)
O (0.095, 0.500, 0.843)
O (0.121, 0.228, 0.063)
O (0.121, 0.762, 0.060)
O (0.184, 0.262, 0.391)
O (0.184, 0.748, 0.387)
O (0.189, 0.245, 0.772)
O (0.189, 0.765, 0.767)
O (0.250, 0.007, 0.549)
O (0.250, 0.506, 0.578)
O (0.250, 0.994, 0.036)
O (0.311, 0.245, 0.772)
O (0.311, 0.765, 0.767)
O (0.316, 0.262, 0.391)
O (0.316, 0.748, 0.387)
O (0.379, 0.228, 0.063)
O (0.379, 0.762, 0.060)
O (0.405, 0.500, 0.843)
O (0.407, 0.995, 0.340)
O (0.408, 0.494, 0.294)
O (0.414, 0.001, 0.800)
O (0.426, 0.269, 0.581)
O (0.426, 0.730, 0.579)
O (0.500, 0.242, 0.253)
O (0.500, 0.255, 0.887)
O (0.500, 0.745, 0.887)
O (0.500, 0.758, 0.253)
O (0.574, 0.270, 0.579)
O (0.574, 0.731, 0.581)
O (0.586, 0.999, 0.800)
O (0.592, 0.506, 0.294)
O (0.593, 0.005, 0.340)
O (0.595, 0.500, 0.843)
O (0.621, 0.238, 0.060)
O (0.621, 0.772, 0.063)
O (0.684, 0.252, 0.387)
O (0.684, 0.738, 0.391)
O (0.689, 0.235, 0.767)
O (0.689, 0.755, 0.772)
O (0.750, 0.006, 0.036)
O (0.750, 0.494, 0.578)
O (0.750, 0.993, 0.549)
O (0.811, 0.235, 0.767)
O (0.811, 0.755, 0.772)
O (0.816, 0.252, 0.387)
O (0.816, 0.738, 0.391)
O (0.879, 0.238, 0.060)
O (0.879, 0.772, 0.063)
O (0.905, 0.500, 0.843)
O (0.907, 0.005, 0.340)
O (0.908, 0.506, 0.294)
O (0.914, 0.999, 0.800)
O (0.926, 0.270, 0.579)
O (0.926, 0.731, 0.581)

E = -6.965 eV per atom
magnetic moment = 0.07 μB per cell
SG = Pma2

***

SmSbMo2O9 | PBE+U | optimized geometry

Cell lengths 9.832, 9.832, 10.992 Å; angles 111.77, 111.77, 95.70 degrees
Sites, in units of the cell vectors:
Sm (0.125, 0.875, 0.750)
Sm (0.327, 0.673, 0.250)
Sm (0.673, 0.327, 0.750)
Sm (0.875, 0.125, 0.250)
Sb (0.352, 0.379, 0.463)
Sb (0.379, 0.352, 0.963)
Sb (0.621, 0.648, 0.037)
Sb (0.648, 0.621, 0.537)
Mo (0.048, 0.259, 0.026)
Mo (0.059, 0.435, 0.695)
Mo (0.259, 0.048, 0.526)
Mo (0.435, 0.059, 0.195)
Mo (0.565, 0.941, 0.805)
Mo (0.741, 0.952, 0.474)
Mo (0.941, 0.565, 0.305)
Mo (0.952, 0.741, 0.974)
O (0.018, 0.694, 0.494)
O (0.048, 0.224, 0.175)
O (0.065, 0.095, 0.899)
O (0.090, 0.558, 0.251)
O (0.095, 0.065, 0.399)
O (0.126, 0.703, 0.065)
O (0.141, 0.619, 0.724)
O (0.211, 0.370, 0.800)
O (0.220, 0.404, 0.077)
O (0.224, 0.048, 0.675)
O (0.297, 0.874, 0.435)
O (0.306, 0.982, 0.006)
O (0.370, 0.211, 0.300)
O (0.381, 0.859, 0.776)
O (0.404, 0.220, 0.577)
O (0.424, 0.541, 0.401)
O (0.442, 0.910, 0.249)
O (0.459, 0.576, 0.099)
O (0.541, 0.424, 0.901)
O (0.558, 0.090, 0.751)
O (0.576, 0.459, 0.599)
O (0.596, 0.780, 0.423)
O (0.619, 0.141, 0.224)
O (0.630, 0.789, 0.700)
O (0.694, 0.018, 0.994)
O (0.703, 0.126, 0.565)
O (0.776, 0.952, 0.325)
O (0.780, 0.596, 0.923)
O (0.789, 0.630, 0.200)
O (0.859, 0.381, 0.276)
O (0.874, 0.297, 0.935)
O (0.905, 0.935, 0.601)
O (0.910, 0.442, 0.749)
O (0.935, 0.905, 0.101)
O (0.952, 0.776, 0.825)
O (0.982, 0.306, 0.506)

E = -7.181 eV per atom
magnetic moment = 0.00 μB per cell
SG = C2/c

***

TbSbMo2O9 | PBE+U | optimized geometry

Cell lengths 9.713, 9.713, 10.873 Å; angles 111.93, 111.93, 95.20 degrees
Sites, in units of the cell vectors:
Tb (0.125, 0.875, 0.750)
Tb (0.329, 0.671, 0.250)
Tb (0.671, 0.329, 0.750)
Tb (0.875, 0.125, 0.250)
Sb (0.349, 0.382, 0.465)
Sb (0.382, 0.349, 0.965)
Sb (0.618, 0.651, 0.035)
Sb (0.651, 0.618, 0.535)
Mo (0.047, 0.260, 0.027)
Mo (0.059, 0.434, 0.695)
Mo (0.260, 0.047, 0.527)
Mo (0.434, 0.059, 0.195)
Mo (0.566, 0.941, 0.805)
Mo (0.740, 0.953, 0.473)
Mo (0.941, 0.566, 0.305)
Mo (0.953, 0.740, 0.973)
O (0.021, 0.696, 0.496)
O (0.045, 0.222, 0.176)
O (0.065, 0.095, 0.898)
O (0.092, 0.555, 0.249)
O (0.095, 0.065, 0.398)
O (0.129, 0.700, 0.065)
O (0.145, 0.620, 0.726)
O (0.210, 0.366, 0.800)
O (0.222, 0.045, 0.676)
O (0.223, 0.404, 0.079)
O (0.300, 0.871, 0.435)
O (0.304, 0.979, 0.004)
O (0.366, 0.210, 0.300)
O (0.380, 0.855, 0.774)
O (0.404, 0.223, 0.579)
O (0.424, 0.540, 0.398)
O (0.445, 0.908, 0.251)
O (0.460, 0.576, 0.102)
O (0.540, 0.424, 0.898)
O (0.555, 0.092, 0.749)
O (0.576, 0.460, 0.602)
O (0.596, 0.777, 0.421)
O (0.620, 0.145, 0.226)
O (0.634, 0.790, 0.700)
O (0.696, 0.021, 0.996)
O (0.700, 0.129, 0.565)
O (0.777, 0.596, 0.921)
O (0.778, 0.955, 0.324)
O (0.790, 0.634, 0.200)
O (0.855, 0.380, 0.274)
O (0.871, 0.300, 0.935)
O (0.905, 0.935, 0.602)
O (0.908, 0.445, 0.751)
O (0.935, 0.905, 0.102)
O (0.955, 0.778, 0.824)
O (0.979, 0.304, 0.504)

E = -7.179 eV per atom
magnetic moment = 0.00 μB per cell
SG = C2/c

***

Zn2SbMoO6 | PBE+U | optimized geometry

Cell lengths 5.380, 8.077, 5.403 Å; angles 90.00, 90.83, 90.00 degrees
Sites, in units of the cell vectors:
Zn (0.011, 0.250, 0.467)
Zn (0.481, 0.250, 0.985)
Zn (0.519, 0.750, 0.015)
Zn (0.989, 0.750, 0.533)
Sb (0.500, 0.000, 0.500)
Sb (0.500, 0.500, 0.500)
Mo (0.000, 0.000, 0.000)
Mo (0.000, 0.500, 0.000)
O (0.123, 0.250, 0.101)
O (0.154, 0.570, 0.327)
O (0.154, 0.930, 0.327)
O (0.327, 0.573, 0.830)
O (0.327, 0.927, 0.830)
O (0.387, 0.250, 0.598)
O (0.613, 0.750, 0.402)
O (0.673, 0.073, 0.170)
O (0.673, 0.427, 0.170)
O (0.846, 0.070, 0.673)
O (0.846, 0.430, 0.673)
O (0.877, 0.750, 0.899)

E = -5.719 eV per atom
magnetic moment = 3.88 μB per cell
SG = P2_1/m